1.
The following is a GGA-PBE calculation of a relaxed structure of AgO, from the Materials Project database.

a b c (Å): 3.583 3.583 3.583
angles (deg): 60.00 60.00 60.00
Fractional positions:
Ag (0.000, 0.000, 0.000)
O (0.250, 0.250, 0.250)

* calculated volume: 16.26 Å³/atom
* calculated formation energy: -0.14 eV per atom
* size of the total moment: 0.13 μB/f.u.
* total energy after the MP2020 corrections: -8.1 eV per cell
* mass density: 6.32 g/cm3

---

2.
The following is a GGA-PBE calculation of a relaxed structure of AgO, from the Materials Project database.

a b c (Å): 3.299 3.299 5.609
angles (deg): 90.00 90.00 93.38
Fractional positions:
Ag (0.000, 0.500, 0.000)
Ag (0.500, 0.000, 0.500)
O (0.000, 0.000, 0.250)
O (0.000, 0.000, 0.750)

* calculated volume: 15.23 Å³/atom
* calculated formation energy: -0.45 eV per atom
* total energy after the MP2020 corrections: -17.3 eV per cell
* mass density: 6.75 g/cm3

---

3.
The following is a GGA-PBE calculation of a relaxed structure of AgO, from the Materials Project database.

a b c (Å): 6.802 6.802 6.802
angles (deg): 118.52 118.52 92.58
Fractional positions:
Ag (0.000, 0.000, 0.000)
Ag (0.000, 0.000, 0.500)
Ag (0.000, 0.500, 0.000)
Ag (0.000, 0.500, 0.500)
Ag (0.500, 0.000, 0.000)
Ag (0.500, 0.000, 0.500)
Ag (0.500, 0.500, 0.000)
Ag (0.500, 0.500, 0.500)
O (0.204, 0.795, 0.922)
O (0.218, 0.296, 0.092)
O (0.295, 0.873, 0.592)
O (0.373, 0.282, 0.578)
O (0.627, 0.718, 0.422)
O (0.705, 0.127, 0.408)
O (0.782, 0.704, 0.908)
O (0.796, 0.205, 0.078)

* calculated volume: 14.20 Å³/atom
* calculated formation energy: -0.40 eV per atom
* size of the total moment: 0.00 μB/f.u.
* total energy after the MP2020 corrections: -68.7 eV per cell
* mass density: 7.24 g/cm3

---

4.
The following is a GGA-PBE calculation of a relaxed structure of AgO, from the Materials Project database.

a b c (Å): 3.309 3.309 5.581
angles (deg): 90.00 90.00 90.33
Fractional positions:
Ag (0.000, 0.500, 0.000)
Ag (0.500, 0.000, 0.500)
O (0.000, 0.000, 0.250)
O (0.000, 0.000, 0.750)

* calculated volume: 15.28 Å³/atom
* calculated formation energy: -0.45 eV per atom
* size of the total moment: 0.00 μB/f.u.
* total energy after the MP2020 corrections: -17.4 eV per cell
* mass density: 6.73 g/cm3

---

5.
The following is a GGA-PBE calculation of a relaxed structure of AgO, from the Materials Project database.

a b c (Å): 3.294 3.294 5.595
angles (deg): 93.48 93.48 86.04
Fractional positions:
Ag (0.000, 0.500, 0.000)
Ag (0.500, 0.000, 0.500)
O (0.023, 0.977, 0.750)
O (0.977, 0.023, 0.250)

* calculated volume: 15.09 Å³/atom
* calculated formation energy: -0.44 eV per atom
* total energy after the MP2020 corrections: -17.3 eV per cell
* mass density: 6.82 g/cm3

---

6.
The following is a GGA-PBE calculation of a relaxed structure of Ag3O, from the Materials Project database.

a b c (Å): 5.410 5.410 5.043
angles (deg): 90.00 90.00 120.00
Fractional positions:
Ag (0.000, 0.311, 0.222)
Ag (0.000, 0.689, 0.778)
Ag (0.311, 0.000, 0.222)
Ag (0.311, 0.311, 0.778)
Ag (0.689, 0.000, 0.778)
Ag (0.689, 0.689, 0.222)
O (0.333, 0.667, 0.500)
O (0.667, 0.333, 0.500)

* calculated volume: 15.98 Å³/atom
* calculated formation energy: -0.22 eV per atom
* total energy after the MP2020 corrections: -28.7 eV per cell
* mass density: 8.82 g/cm3

---

7.
The following is a GGA-PBE calculation of a relaxed structure of AgO2, from the Materials Project database.

a b c (Å): 4.612 4.612 4.612
angles (deg): 90.00 90.00 90.00
Fractional positions:
Ag (0.250, 0.250, 0.250)
Ag (0.750, 0.750, 0.750)
O (0.000, 0.000, 0.000)
O (0.000, 0.500, 0.500)
O (0.500, 0.000, 0.500)
O (0.500, 0.500, 0.000)

* calculated volume: 16.35 Å³/atom
* calculated formation energy: 0.39 eV per atom
* size of the total moment: 0.76 μB/f.u.
* total energy after the MP2020 corrections: -23.1 eV per cell
* mass density: 4.74 g/cm3
* energy above the lowest structure with this stoichiometry: 38.4 kJ/mol of atoms

---

8.
The following is a GGA-PBE calculation of a relaxed structure of AgO, from the Materials Project database.

a b c (Å): 5.861 3.639 5.637
angles (deg): 90.00 108.17 90.00
Fractional positions:
Ag (0.000, 0.000, 0.000)
Ag (0.000, 0.500, 0.500)
Ag (0.500, 0.000, 0.500)
Ag (0.500, 0.500, 0.000)
O (0.210, 0.166, 0.783)
O (0.210, 0.334, 0.283)
O (0.790, 0.666, 0.717)
O (0.790, 0.834, 0.217)

* calculated volume: 14.28 Å³/atom
* calculated formation energy: -0.41 eV per atom
* total energy after the MP2020 corrections: -34.4 eV per cell
* mass density: 7.20 g/cm3

---

9.
The following is a GGA-PBE calculation of a relaxed structure of AgO2, from the Materials Project database.

a b c (Å): 7.115 7.115 7.115
angles (deg): 135.87 135.87 64.18
Fractional positions:
Ag (0.125, 0.875, 0.250)
Ag (0.375, 0.625, 0.750)
Ag (0.625, 0.375, 0.250)
Ag (0.875, 0.125, 0.750)
O (0.033, 0.283, 0.566)
O (0.217, 0.467, 0.934)
O (0.283, 0.217, 0.250)
O (0.467, 0.033, 0.250)
O (0.533, 0.967, 0.750)
O (0.717, 0.783, 0.750)
O (0.783, 0.533, 0.066)
O (0.967, 0.717, 0.434)

* calculated volume: 14.36 Å³/atom
* calculated formation energy: -0.01 eV per atom
* size of the total moment: 0.29 μB/f.u.
* total energy after the MP2020 corrections: -51.0 eV per cell
* mass density: 5.39 g/cm3
* energy above the lowest structure with this stoichiometry: 0.0 kJ/mol of atoms

---

10.
The following is a GGA-PBE calculation of a relaxed structure of Ag13OsO6, from the Materials Project database.

a b c (Å): 9.480 9.480 9.480
angles (deg): 60.00 60.00 60.00
Fractional positions:
Ag (0.000, 0.000, 0.000)
Ag (0.064, 0.292, 0.708)
Ag (0.064, 0.708, 0.936)
Ag (0.064, 0.936, 0.292)
Ag (0.208, 0.436, 0.792)
Ag (0.208, 0.564, 0.436)
Ag (0.208, 0.792, 0.564)
Ag (0.292, 0.064, 0.936)
Ag (0.292, 0.708, 0.064)
Ag (0.292, 0.936, 0.708)
Ag (0.436, 0.208, 0.564)
Ag (0.436, 0.564, 0.792)
Ag (0.436, 0.792, 0.208)
Ag (0.500, 0.500, 0.500)
Ag (0.564, 0.208, 0.792)
Ag (0.564, 0.436, 0.208)
Ag (0.564, 0.792, 0.436)
Ag (0.708, 0.064, 0.292)
Ag (0.708, 0.292, 0.936)
Ag (0.708, 0.936, 0.064)
Ag (0.792, 0.208, 0.436)
Ag (0.792, 0.436, 0.564)
Ag (0.792, 0.564, 0.208)
Ag (0.936, 0.064, 0.708)
Ag (0.936, 0.292, 0.064)
Ag (0.936, 0.708, 0.292)
Os (0.250, 0.250, 0.250)
Os (0.750, 0.750, 0.750)
O (0.107, 0.107, 0.393)
O (0.107, 0.393, 0.107)
O (0.107, 0.393, 0.393)
O (0.393, 0.107, 0.107)
O (0.393, 0.107, 0.393)
O (0.393, 0.393, 0.107)
O (0.607, 0.607, 0.893)
O (0.607, 0.893, 0.607)
O (0.607, 0.893, 0.893)
O (0.893, 0.607, 0.607)
O (0.893, 0.607, 0.893)
O (0.893, 0.893, 0.607)

* calculated volume: 15.06 Å³/atom
* calculated formation energy: -0.46 eV per atom
* size of the total moment: 0.00 μB/f.u.
* total energy after the MP2020 corrections: -173.8 eV per cell
* mass density: 9.31 g/cm3

---

11.
The following is a GGA-PBE calculation of a relaxed structure of AgOs2O6, from the Materials Project database.

a b c (Å): 7.225 7.225 7.225
angles (deg): 119.65 90.42 119.86
Fractional positions:
Ag (0.221, 0.250, 0.471)
Ag (0.779, 0.750, 0.529)
Os (0.295, 0.295, 0.000)
Os (0.295, 0.795, 0.500)
Os (0.304, 0.801, 0.002)
Os (0.799, 0.301, 0.998)
O (0.214, 0.039, 0.676)
O (0.222, 0.045, 0.074)
O (0.222, 0.648, 0.677)
O (0.353, 0.544, 0.943)
O (0.353, 0.911, 0.309)
O (0.363, 0.539, 0.324)
O (0.601, 0.044, 0.691)
O (0.601, 0.411, 0.057)
O (0.605, 0.047, 0.057)
O (0.971, 0.148, 0.926)
O (0.971, 0.545, 0.323)
O (0.990, 0.547, 0.943)

* calculated volume: 14.87 Å³/atom
* calculated formation energy: -1.23 eV per atom
* size of the total moment: 0.00 μB/f.u.
* total energy after the MP2020 corrections: -132.2 eV per cell
* mass density: 7.25 g/cm3

---

12.
The following is a GGA-PBE calculation of a relaxed structure of Ag2P2PbO7, from the Materials Project database.

a b c (Å): 5.506 7.105 10.424
angles (deg): 107.92 93.27 111.32
Fractional positions:
Ag (0.092, 0.270, 0.027)
Ag (0.337, 0.604, 0.806)
Ag (0.663, 0.396, 0.194)
Ag (0.908, 0.730, 0.973)
P (0.270, 0.653, 0.362)
P (0.491, 0.865, 0.163)
P (0.509, 0.135, 0.837)
P (0.730, 0.347, 0.638)
Pb (0.143, 0.133, 0.369)
Pb (0.857, 0.867, 0.631)
O (0.026, 0.705, 0.341)
O (0.217, 0.049, 0.851)
O (0.219, 0.416, 0.273)
O (0.308, 0.661, 0.044)
O (0.381, 0.043, 0.193)
O (0.387, 0.708, 0.511)
O (0.496, 0.195, 0.697)
O (0.504, 0.805, 0.303)
O (0.613, 0.292, 0.489)
O (0.619, 0.957, 0.807)
O (0.692, 0.339, 0.956)
O (0.781, 0.584, 0.727)
O (0.783, 0.951, 0.149)
O (0.974, 0.295, 0.659)

* calculated volume: 14.79 Å³/atom
* calculated formation energy: -1.99 eV per atom
* size of the total moment: 0.00 μB/f.u.
* total energy after the MP2020 corrections: -157.4 eV per cell
* mass density: 5.59 g/cm3
* energy above the lowest structure with this stoichiometry: 0.0 kJ/mol of atoms

---

13.
The following is a GGA-PBE calculation of a relaxed structure of Ag2P2PdO7, from the Materials Project database.

a b c (Å): 8.521 8.521 8.340
angles (deg): 115.20 115.20 39.87
Fractional positions:
Ag (0.094, 0.375, 0.294)
Ag (0.375, 0.094, 0.794)
Ag (0.625, 0.906, 0.206)
Ag (0.906, 0.625, 0.706)
P (0.242, 0.557, 0.158)
P (0.443, 0.758, 0.342)
P (0.557, 0.242, 0.658)
P (0.758, 0.443, 0.842)
Pd (0.000, 0.000, 0.000)
Pd (0.000, 0.000, 0.500)
O (0.081, 0.708, 0.305)
O (0.103, 0.689, 0.995)
O (0.292, 0.919, 0.195)
O (0.301, 0.341, 0.595)
O (0.311, 0.897, 0.505)
O (0.341, 0.301, 0.095)
O (0.474, 0.526, 0.250)
O (0.526, 0.474, 0.750)
O (0.659, 0.699, 0.905)
O (0.689, 0.103, 0.495)
O (0.699, 0.659, 0.405)
O (0.708, 0.081, 0.805)
O (0.897, 0.311, 0.005)
O (0.919, 0.292, 0.695)

* calculated volume: 14.42 Å³/atom
* calculated formation energy: -1.79 eV per atom
* size of the total moment: 0.00 μB/f.u.
* total energy after the MP2020 corrections: -155.5 eV per cell
* mass density: 4.76 g/cm3

---

14.
The following is a GGA-PBE calculation of a relaxed structure of TaAgP4O13, from the Materials Project database.

a b c (Å): 7.208 8.413 18.051
angles (deg): 90.00 90.00 90.00
Fractional positions:
Ta (0.239, 0.226, 0.289)
Ta (0.261, 0.774, 0.789)
Ta (0.739, 0.274, 0.711)
Ta (0.761, 0.726, 0.211)
Ag (0.206, 0.777, 0.515)
Ag (0.294, 0.223, 0.015)
Ag (0.706, 0.723, 0.485)
Ag (0.794, 0.277, 0.985)
P (0.073, 0.182, 0.575)
P (0.079, 0.611, 0.073)
P (0.097, 0.154, 0.828)
P (0.097, 0.605, 0.334)
P (0.403, 0.395, 0.834)
P (0.403, 0.846, 0.328)
P (0.421, 0.389, 0.573)
P (0.427, 0.818, 0.075)
P (0.573, 0.318, 0.425)
P (0.579, 0.889, 0.927)
P (0.597, 0.346, 0.172)
P (0.597, 0.895, 0.666)
P (0.903, 0.105, 0.166)
P (0.903, 0.654, 0.672)
P (0.921, 0.111, 0.427)
P (0.927, 0.682, 0.925)
O (0.006, 0.722, 0.006)
O (0.035, 0.168, 0.360)
O (0.067, 0.156, 0.910)
O (0.075, 0.703, 0.719)
O (0.078, 0.439, 0.058)
O (0.081, 0.168, 0.206)
O (0.090, 0.722, 0.873)
O (0.093, 0.600, 0.415)
O (0.142, 0.444, 0.294)
O (0.161, 0.025, 0.583)
O (0.164, 0.993, 0.795)
O (0.213, 0.329, 0.587)
O (0.248, 0.278, 0.799)
O (0.252, 0.722, 0.299)
O (0.287, 0.671, 0.087)
O (0.336, 0.007, 0.295)
O (0.339, 0.975, 0.083)
O (0.358, 0.556, 0.794)
O (0.407, 0.400, 0.915)
O (0.410, 0.278, 0.373)
O (0.419, 0.832, 0.706)
O (0.422, 0.561, 0.558)
O (0.425, 0.297, 0.219)
O (0.433, 0.844, 0.410)
O (0.465, 0.832, 0.860)
O (0.494, 0.278, 0.506)
O (0.506, 0.778, 0.994)
O (0.535, 0.332, 0.640)
O (0.567, 0.344, 0.090)
O (0.575, 0.797, 0.281)
O (0.578, 0.061, 0.942)
O (0.581, 0.332, 0.794)
O (0.590, 0.778, 0.127)
O (0.593, 0.900, 0.585)
O (0.642, 0.056, 0.706)
O (0.661, 0.475, 0.417)
O (0.664, 0.507, 0.205)
O (0.713, 0.171, 0.413)
O (0.748, 0.222, 0.201)
O (0.752, 0.778, 0.701)
O (0.787, 0.829, 0.913)
O (0.836, 0.493, 0.705)
O (0.839, 0.525, 0.917)
O (0.858, 0.944, 0.206)
O (0.907, 0.100, 0.085)
O (0.910, 0.222, 0.627)
O (0.919, 0.668, 0.294)
O (0.922, 0.939, 0.442)
O (0.925, 0.203, 0.781)
O (0.933, 0.656, 0.590)
O (0.965, 0.668, 0.140)
O (0.994, 0.222, 0.494)

* calculated volume: 14.40 Å³/atom
* calculated formation energy: -2.59 eV per atom
* total energy after the MP2020 corrections: -599.7 eV per cell
* mass density: 3.77 g/cm3

---

15.
The following is a GGA-PBE calculation of a relaxed structure of Ag4TeP2O14, from the Materials Project database.

a b c (Å): 5.596 18.794 6.695
angles (deg): 90.00 123.98 90.00
Fractional positions:
Ag (0.045, 0.179, 0.426)
Ag (0.045, 0.321, 0.926)
Ag (0.235, 0.065, 0.114)
Ag (0.235, 0.435, 0.614)
Ag (0.765, 0.565, 0.386)
Ag (0.765, 0.935, 0.886)
Ag (0.955, 0.679, 0.074)
Ag (0.955, 0.821, 0.574)
Te (0.000, 0.000, 0.500)
Te (0.000, 0.500, 0.000)
P (0.276, 0.668, 0.593)
P (0.276, 0.832, 0.093)
P (0.724, 0.168, 0.907)
P (0.724, 0.332, 0.407)
O (0.009, 0.715, 0.528)
O (0.009, 0.785, 0.028)
O (0.158, 0.077, 0.389)
O (0.158, 0.423, 0.889)
O (0.196, 0.591, 0.623)
O (0.196, 0.909, 0.123)
O (0.236, 0.051, 0.807)
O (0.236, 0.449, 0.307)
O (0.334, 0.557, 0.095)
O (0.334, 0.943, 0.595)
O (0.340, 0.673, 0.393)
O (0.340, 0.827, 0.893)
O (0.461, 0.199, 0.678)
O (0.461, 0.301, 0.178)
O (0.539, 0.699, 0.822)
O (0.539, 0.801, 0.322)
O (0.660, 0.173, 0.107)
O (0.660, 0.327, 0.607)
O (0.666, 0.057, 0.405)
O (0.666, 0.443, 0.905)
O (0.764, 0.551, 0.693)
O (0.764, 0.949, 0.193)
O (0.804, 0.091, 0.877)
O (0.804, 0.409, 0.377)
O (0.842, 0.577, 0.111)
O (0.842, 0.923, 0.611)
O (0.991, 0.215, 0.972)
O (0.991, 0.285, 0.472)

* calculated volume: 13.90 Å³/atom
* calculated formation energy: -1.23 eV per atom
* size of the total moment: 0.00 μB/f.u.
* total energy after the MP2020 corrections: -240.9 eV per cell
* mass density: 4.81 g/cm3